(1)
Entry from Materials Project: a geometry-optimized TmNiPb structure (GGA-PBE).

Geometry as CIF:
```
data_TmNiPb
_space_group_name_H-M_alt 'P 1'
_space_group_IT_number 1
_space_group_name_Hall 'P 1'
_cell_length_a 7.103
_cell_length_b 4.388
_cell_length_c 8.057
_cell_angle_alpha 90.00
_cell_angle_beta 90.00
_cell_angle_gamma 90.00
loop_
_atom_site_label
_atom_site_fract_x
_atom_site_fract_y
_atom_site_fract_z
Tm1 0.013 0.250 0.188
Tm2 0.487 0.750 0.688
Tm3 0.513 0.250 0.312
Tm4 0.987 0.750 0.812
Ni1 0.234 0.750 0.395
Ni2 0.266 0.250 0.895
Ni3 0.734 0.750 0.105
Ni4 0.766 0.250 0.605
Pb1 0.173 0.250 0.575
Pb2 0.327 0.750 0.075
Pb3 0.673 0.250 0.925
Pb4 0.827 0.750 0.425
```

Calculated volume in A^3/atom: 20.93
DFT formation energy in eV per atom: -0.39
Total magnetic moment in μB per formula unit: 0.000

---

(2)
Entry from Materials Project: a geometry-optimized YSbPb2O6 structure (GGA-PBE).

Geometry as CIF:
```
data_YSbPb2O6
_space_group_name_H-M_alt 'P 1'
_space_group_IT_number 1
_space_group_name_Hall 'P 1'
_cell_length_a 5.885
_cell_length_b 5.885
_cell_length_c 6.006
_cell_angle_alpha 119.84
_cell_angle_beta 119.84
_cell_angle_gamma 60.30
loop_
_atom_site_label
_atom_site_fract_x
_atom_site_fract_y
_atom_site_fract_z
Y1 0.000 0.000 0.000
Sb1 0.500 0.500 0.500
Pb1 0.246 0.246 0.727
Pb2 0.754 0.754 0.273
O1 0.213 0.694 0.685
O2 0.266 0.266 0.191
O3 0.306 0.787 0.315
O4 0.694 0.213 0.685
O5 0.734 0.734 0.809
O6 0.787 0.306 0.315
```

Calculated volume in A^3/atom: 14.78
Energy with MP2020 corrections in eV per atom: -7.057
DFT formation energy in eV per atom: -2.29
E above lowest polymorph in kJ per mole of atoms: 0.7
Total magnetic moment in μB per formula unit: 0.000

---

(3)
Entry from Materials Project: a geometry-optimized ThAl20V2 structure (GGA-PBE).

Geometry as CIF:
```
data_ThAl20V2
_space_group_name_H-M_alt 'P 1'
_space_group_IT_number 1
_space_group_name_Hall 'P 1'
_cell_length_a 10.297
_cell_length_b 10.297
_cell_length_c 10.297
_cell_angle_alpha 60.00
_cell_angle_beta 60.00
_cell_angle_gamma 60.00
loop_
_atom_site_label
_atom_site_fract_x
_atom_site_fract_y
_atom_site_fract_z
Th1 0.125 0.125 0.125
Th2 0.875 0.875 0.875
Al1 0.000 0.000 0.000
Al2 0.000 0.000 0.500
Al3 0.000 0.500 0.000
Al4 0.056 0.326 0.326
Al5 0.056 0.326 0.792
Al6 0.056 0.792 0.326
Al7 0.208 0.674 0.674
Al8 0.208 0.674 0.944
Al9 0.208 0.944 0.674
Al10 0.239 0.239 0.511
Al11 0.239 0.511 0.239
Al12 0.239 0.511 0.511
Al13 0.326 0.056 0.326
Al14 0.326 0.056 0.792
Al15 0.326 0.326 0.056
Al16 0.326 0.326 0.792
Al17 0.326 0.792 0.056
Al18 0.326 0.792 0.326
Al19 0.489 0.489 0.761
Al20 0.489 0.761 0.489
Al21 0.489 0.761 0.761
Al22 0.500 0.000 0.000
Al23 0.511 0.239 0.239
Al24 0.511 0.239 0.511
Al25 0.511 0.511 0.239
Al26 0.674 0.208 0.674
Al27 0.674 0.208 0.944
Al28 0.674 0.674 0.208
Al29 0.674 0.674 0.944
Al30 0.674 0.944 0.208
Al31 0.674 0.944 0.674
Al32 0.761 0.489 0.489
Al33 0.761 0.489 0.761
Al34 0.761 0.761 0.489
Al35 0.792 0.056 0.326
Al36 0.792 0.326 0.056
Al37 0.792 0.326 0.326
Al38 0.944 0.208 0.674
Al39 0.944 0.674 0.208
Al40 0.944 0.674 0.674
V1 0.000 0.500 0.500
V2 0.500 0.000 0.500
V3 0.500 0.500 0.000
V4 0.500 0.500 0.500
```

Calculated volume in A^3/atom: 16.78
DFT formation energy in eV per atom: -0.21

---

(4)
Entry from Materials Project: a geometry-optimized DyH3 structure (GGA-PBE).

Geometry as CIF:
```
data_DyH3
_space_group_name_H-M_alt 'P 1'
_space_group_IT_number 1
_space_group_name_Hall 'P 1'
_cell_length_a 6.325
_cell_length_b 6.325
_cell_length_c 6.596
_cell_angle_alpha 90.00
_cell_angle_beta 90.00
_cell_angle_gamma 120.00
loop_
_atom_site_label
_atom_site_fract_x
_atom_site_fract_y
_atom_site_fract_z
Dy1 0.000 0.337 0.250
Dy2 0.000 0.663 0.750
Dy3 0.337 0.000 0.250
Dy4 0.337 0.337 0.750
Dy5 0.663 0.000 0.750
Dy6 0.663 0.663 0.250
H1 0.000 0.000 0.250
H2 0.000 0.000 0.750
H3 0.028 0.349 0.908
H4 0.028 0.679 0.408
H5 0.321 0.349 0.408
H6 0.321 0.972 0.908
H7 0.333 0.667 0.181
H8 0.333 0.667 0.681
H9 0.349 0.028 0.592
H10 0.349 0.321 0.092
H11 0.651 0.679 0.908
H12 0.651 0.972 0.408
H13 0.667 0.333 0.319
H14 0.667 0.333 0.819
H15 0.679 0.028 0.092
H16 0.679 0.651 0.592
H17 0.972 0.321 0.592
H18 0.972 0.651 0.092
```

Calculated volume in A^3/atom: 9.52
Energy with MP2020 corrections in eV per atom: -4.428
DFT formation energy in eV per atom: -0.73

---

(5)
Entry from Materials Project: a geometry-optimized Na8MgTi2O8 structure (GGA-PBE).

Geometry as CIF:
```
data_Na8MgTi2O8
_space_group_name_H-M_alt 'P 1'
_space_group_IT_number 1
_space_group_name_Hall 'P 1'
_cell_length_a 6.639
_cell_length_b 6.955
_cell_length_c 6.955
_cell_angle_alpha 79.09
_cell_angle_beta 90.00
_cell_angle_gamma 90.00
loop_
_atom_site_label
_atom_site_fract_x
_atom_site_fract_y
_atom_site_fract_z
Na1 0.000 0.149 0.851
Na2 0.000 0.851 0.149
Na3 0.268 0.557 0.934
Na4 0.268 0.934 0.557
Na5 0.500 0.312 0.616
Na6 0.500 0.616 0.312
Na7 0.732 0.557 0.934
Na8 0.732 0.934 0.557
Mg1 0.000 0.558 0.558
Ti1 0.000 0.303 0.303
Ti2 0.500 0.031 0.031
O1 0.000 0.042 0.380
O2 0.000 0.380 0.042
O3 0.213 0.422 0.422
O4 0.278 0.923 0.923
O5 0.500 0.301 0.941
O6 0.500 0.941 0.301
O7 0.722 0.923 0.923
O8 0.787 0.422 0.422
```

Calculated volume in A^3/atom: 16.60
Energy with MP2020 corrections in eV per atom: -5.684
DFT formation energy in eV per atom: -2.13
E above lowest polymorph in kJ per mole of atoms: 5.1
Total magnetic moment in μB per formula unit: 0.000

---

(6)
Entry from Materials Project: a geometry-optimized BaAlH5 structure (GGA-PBE).

Geometry as CIF:
```
data_BaAlH5
_space_group_name_H-M_alt 'P 1'
_space_group_IT_number 1
_space_group_name_Hall 'P 1'
_cell_length_a 9.173
_cell_length_b 7.057
_cell_length_c 5.122
_cell_angle_alpha 90.00
_cell_angle_beta 90.00
_cell_angle_gamma 90.00
loop_
_atom_site_label
_atom_site_fract_x
_atom_site_fract_y
_atom_site_fract_z
Ba1 0.187 0.157 0.000
Ba2 0.313 0.657 0.500
Ba3 0.687 0.343 0.000
Ba4 0.813 0.843 0.500
Al1 0.040 0.655 0.973
Al2 0.460 0.155 0.473
Al3 0.540 0.845 0.973
Al4 0.960 0.345 0.473
H1 0.005 0.551 0.655
H2 0.078 0.792 0.243
H3 0.081 0.844 0.767
H4 0.142 0.306 0.480
H5 0.206 0.547 0.957
H6 0.294 0.047 0.457
H7 0.358 0.806 0.980
H8 0.419 0.344 0.267
H9 0.422 0.292 0.743
H10 0.495 0.051 0.155
H11 0.505 0.949 0.655
H12 0.578 0.708 0.243
H13 0.581 0.656 0.767
H14 0.642 0.194 0.480
H15 0.706 0.953 0.957
H16 0.794 0.453 0.457
H17 0.858 0.694 0.980
H18 0.919 0.156 0.267
H19 0.922 0.208 0.743
H20 0.995 0.449 0.155
```

Calculated volume in A^3/atom: 11.84
Energy with MP2020 corrections in eV per atom: -3.685
DFT formation energy in eV per atom: -0.45
Piezoelectric modulus e_max in C/m2: 0.98